## TbZr3 (r²SCAN)

Data for an optimized crystal structure of TbZr3.

## Properties
**ΔH_f (0 K)**: 6.0 kJ/mol of atoms
**Volume**: 25.2 Å³/atom

Lattice parameters (Å, degrees): 3.321 3.321 10.561 90.00 90.00 120.00
Positions (direct):
Tb 0.000 0.000 0.000
Zr 0.000 0.000 0.500
Zr 0.667 0.333 0.262
Zr 0.667 0.333 0.738

---

## Ca3SbP (r²SCAN)

Data for an optimized crystal structure of Ca3SbP.

## Properties
**ΔH_f (0 K)**: -110.9 kJ/mol of atoms
**Volume**: 31.2 Å³/atom

Lattice parameters (Å, degrees): 5.382 5.382 5.382 90.00 90.00 90.00
Positions (direct):
Ca 0.000 0.000 0.500
Ca 0.000 0.500 0.000
Ca 0.500 0.000 0.000
Sb 0.500 0.500 0.500
P 0.000 0.000 0.000

---

## Rb3Na (r²SCAN)

Data for an optimized crystal structure of Rb3Na.

## Properties
**ΔH_f (0 K)**: 3.8 kJ/mol of atoms
**Volume**: 76.0 Å³/atom

Lattice parameters (Å, degrees): 7.546 7.546 7.546 60.00 60.00 60.00
Positions (direct):
Rb 0.000 0.000 0.000
Rb 0.250 0.250 0.250
Rb 0.750 0.750 0.750
Na 0.500 0.500 0.500

---

## Dy2TlAg (r²SCAN)

Data for an optimized crystal structure of Dy2TlAg.

## Properties
**ΔH_f (0 K)**: -40.6 kJ/mol of atoms
**Volume**: 25.2 Å³/atom

Lattice parameters (Å, degrees): 5.226 5.226 5.226 60.00 60.00 60.00
Positions (direct):
Dy 0.250 0.250 0.250
Dy 0.750 0.750 0.750
Tl 0.000 0.000 0.000
Ag 0.500 0.500 0.500

---

## Sm3PO7 (r²SCAN)

Data for an optimized crystal structure of Sm3PO7.

## Properties
**ΔH_f (0 K)**: -340.4 kJ/mol of atoms
**Volume**: 14.7 Å³/atom

Lattice parameters (Å, degrees): 9.148 9.148 12.183 102.83 102.83 90.62
Positions (direct):
Sm 0.128 0.515 0.772
Sm 0.140 0.489 0.460
Sm 0.146 0.797 0.325
Sm 0.154 0.502 0.083
Sm 0.155 0.845 0.000
Sm 0.160 0.845 0.659
Sm 0.483 0.798 0.884
Sm 0.488 0.797 0.543
Sm 0.489 0.140 0.460
Sm 0.497 0.845 0.218
Sm 0.502 0.154 0.083
Sm 0.515 0.128 0.772
Sm 0.797 0.146 0.325
Sm 0.797 0.488 0.543
Sm 0.798 0.483 0.884
Sm 0.845 0.155 0.000
Sm 0.845 0.160 0.659
Sm 0.845 0.497 0.218
P 0.153 0.153 0.505
P 0.160 0.160 0.882
P 0.483 0.483 0.661
P 0.489 0.489 0.038
P 0.817 0.817 0.452
P 0.825 0.825 0.091
O 0.031 0.608 0.608
O 0.035 0.611 0.935
O 0.046 0.046 0.399
O 0.059 0.059 0.773
O 0.063 0.258 0.577
O 0.110 0.533 0.272
O 0.119 0.119 0.989
O 0.131 0.325 0.884
O 0.216 0.766 0.827
O 0.239 0.726 0.494
O 0.243 0.748 0.160
O 0.249 0.249 0.452
O 0.258 0.063 0.577
O 0.318 0.511 0.659
O 0.325 0.131 0.884
O 0.384 0.580 0.966
O 0.393 0.393 0.091
O 0.400 0.894 0.383
O 0.404 0.917 0.049
O 0.427 0.877 0.716
O 0.511 0.318 0.659
O 0.524 0.524 0.554
O 0.533 0.110 0.272
O 0.580 0.384 0.966
O 0.583 0.583 0.771
O 0.596 0.596 0.144
O 0.608 0.031 0.608
O 0.611 0.035 0.935
O 0.709 0.709 0.483
O 0.721 0.915 0.382
O 0.726 0.239 0.494
O 0.727 0.727 0.980
O 0.727 0.922 0.161
O 0.748 0.243 0.160
O 0.766 0.216 0.827
O 0.877 0.427 0.716
O 0.894 0.400 0.383
O 0.915 0.721 0.382
O 0.916 0.916 0.563
O 0.917 0.404 0.049
O 0.922 0.727 0.161
O 0.934 0.934 0.060

---

## SeCl (r²SCAN)

Data for an optimized crystal structure of SeCl.

## Properties
**ΔH_f (0 K)**: -19.2 kJ/mol of atoms
**Volume**: 31.8 Å³/atom

Lattice parameters (Å, degrees): 7.283 14.179 4.955 90.00 95.31 90.00
Positions (direct):
Se 0.107 0.139 0.427
Se 0.107 0.361 0.927
Se 0.293 0.046 0.691
Se 0.293 0.454 0.191
Se 0.707 0.546 0.809
Se 0.707 0.954 0.309
Se 0.893 0.639 0.073
Se 0.893 0.861 0.573
Cl 0.155 0.647 0.870
Cl 0.155 0.853 0.370
Cl 0.443 0.142 0.000
Cl 0.443 0.358 0.500
Cl 0.557 0.642 0.500
Cl 0.557 0.858 0.000
Cl 0.845 0.147 0.630
Cl 0.845 0.353 0.130

---

Q: The highest ΔH_f (0 K) belongs to which entry?
A: TbZr3